[1]
An optimized crystal structure of Cs3AlTe3, computed with meta-GGA r2SCAN.

Cell lengths 14.6156, 9.2103, 12.0518 Å; angles 53.51, 90.00, 90.00 degrees
Element x y z (fractional)
Cs 0.5806 0.6472 0.1120
Cs 0.0806 0.3528 0.3880
Cs 0.4194 0.3528 0.8880
Cs 0.9194 0.6472 0.6120
Cs 0.3104 0.8749 0.9118
Cs 0.8104 0.1251 0.5882
Cs 0.6896 0.1251 0.0882
Cs 0.1896 0.8749 0.4118
Cs 0.8753 0.6242 0.0147
Cs 0.3753 0.3758 0.4853
Cs 0.1247 0.3758 0.9853
Cs 0.6247 0.6242 0.5147
Al 0.5589 0.9328 0.6587
Al 0.0589 0.0672 0.8413
Al 0.4411 0.0672 0.3413
Al 0.9411 0.9328 0.1587
Te 0.1069 0.8585 0.1111
Te 0.6069 0.1415 0.3889
Te 0.8931 0.1415 0.8889
Te 0.3931 0.8585 0.6111
Te 0.8347 0.6496 0.3062
Te 0.3347 0.3504 0.1938
Te 0.1653 0.3504 0.6938
Te 0.6653 0.6496 0.8062
Te 0.0578 0.8864 0.7383
Te 0.5578 0.1136 0.7617
Te 0.9422 0.1136 0.2617
Te 0.4422 0.8864 0.2383

Magnetization (μB/cell): 0.0


[2]
An optimized crystal structure of Al3Cu, computed with meta-GGA r2SCAN.

Cell lengths 2.7784, 2.7784, 7.5134 Å; angles 90.00, 90.00, 90.00 degrees
Element x y z (fractional)
Al 0.0000 0.0000 0.5000
Al 0.5000 0.5000 0.7739
Al 0.5000 0.5000 0.2261
Cu 0.0000 0.0000 0.0000

Magnetization (μB/cell): 0.0


[3]
An optimized crystal structure of AlCu4, computed with meta-GGA r2SCAN.

Cell lengths 6.2436, 6.2436, 6.2436 Å; angles 90.00, 90.00, 90.00 degrees
Element x y z (fractional)
Al 0.4409 0.9409 0.5591
Al 0.9409 0.5591 0.4409
Al 0.5591 0.4409 0.9409
Al 0.0591 0.0591 0.0591
Cu 0.8091 0.3091 0.1909
Cu 0.3091 0.1909 0.8091
Cu 0.1909 0.8091 0.3091
Cu 0.6909 0.6909 0.6909
Cu 0.0488 0.8749 0.7000
Cu 0.3000 0.5488 0.6251
Cu 0.3749 0.8000 0.9512
Cu 0.5488 0.6251 0.3000
Cu 0.8000 0.9512 0.3749
Cu 0.8749 0.7000 0.0488
Cu 0.9512 0.3749 0.8000
Cu 0.7000 0.0488 0.8749
Cu 0.6251 0.3000 0.5488
Cu 0.4512 0.1251 0.2000
Cu 0.2000 0.4512 0.1251
Cu 0.1251 0.2000 0.4512

Magnetization (μB/cell): 0.0


[4]
An optimized crystal structure of AlCu, computed with meta-GGA r2SCAN.

Cell lengths 4.0557, 6.3152, 6.3246 Å; angles 65.49, 71.36, 71.44 degrees
Element x y z (fractional)
Al 0.5000 0.5000 0.5000
Al 0.8452 0.4605 0.8496
Al 0.1548 0.5395 0.1504
Al 0.6232 0.9938 0.7606
Al 0.3768 0.0062 0.2394
Cu 0.0000 0.0000 0.0000
Cu 0.7397 0.2415 0.2758
Cu 0.2603 0.7585 0.7242
Cu 0.8910 0.7725 0.4456
Cu 0.1090 0.2275 0.5544

Magnetization (μB/cell): 0.0


[5]
An optimized crystal structure of DyAl8Cu4, computed with meta-GGA r2SCAN.

Cell lengths 5.0909, 6.6731, 6.6786 Å; angles 98.41, 67.46, 112.42 degrees
Element x y z (fractional)
Dy 0.0000 0.0000 0.0000
Al 0.2814 0.7813 0.2187
Al 0.5001 0.2187 0.2187
Al 0.9999 0.3483 0.3483
Al 0.6516 0.6517 0.3483
Al 0.3484 0.3483 0.6517
Al 0.0001 0.6517 0.6517
Al 0.4999 0.7813 0.7813
Al 0.7186 0.2187 0.7813
Cu 0.0000 0.5000 0.0000
Cu 0.5000 0.5000 0.0000
Cu 0.0000 0.0000 0.5000
Cu 0.5000 0.0000 0.5000

Magnetization (μB/cell): 0.0


[6]
An optimized crystal structure of Dy2Al3Cu, computed with meta-GGA r2SCAN.

Cell lengths 5.3847, 5.3847, 5.3847 Å; angles 61.53, 61.53, 61.53 degrees
Element x y z (fractional)
Dy 0.6235 0.6235 0.6235
Dy 0.3765 0.3765 0.3765
Al 0.0000 0.5000 0.0000
Al 0.5000 0.0000 0.0000
Al 0.0000 0.0000 0.5000
Cu 0.0000 0.0000 0.0000

Magnetization (μB/cell): 0.0


no.,total energy (eV per atom)
1,-23.784
2,-7.864
3,-10.150
4,-9.032
5,-10.287
6,-16.353